Below is a relaxed Al2SiSn2S5O24 crystal, with properties calculated at the PBE-GGA level.

Crystal system = triclinic
Corrected total energy (MP2020 scheme) = -6.890 eV per atom
Theoretical density = 3.06 g/cm³
Magnetization = 0.0 μB/f.u.
Energy of formation from the pure elements = -2.173 eV per atom

Geometry as CIF:
```
data_Al2SiSn2S5O24
_cell_length_a 8.5296
_cell_length_b 8.5553
_cell_length_c 22.2056
_cell_angle_alpha 89.81
_cell_angle_beta 89.53
_cell_angle_gamma 60.13
_space_group_name_H-M_alt 'P 1'
_space_group_IT_number 1
loop_
_space_group_symop_operation_xyz
'x,y,z'
loop_
_atom_site_label
_atom_site_fract_x
_atom_site_fract_y
_atom_site_fract_z
Al1 0.0000 0.0000 0.0000
Al2 0.0014 0.0177 0.5021
Al3 0.0071 0.0132 0.7095
Al4 0.3355 0.3396 0.8360
Al5 0.3374 0.3474 0.3337
Al6 0.6730 0.6743 0.8740
Si1 0.0028 0.2827 0.6060
Si2 0.3796 0.6652 0.2735
Si3 0.9990 0.7226 0.1006
Sn1 0.0166 0.9893 0.2102
Sn2 0.3298 0.3410 0.5463
Sn3 0.3335 0.3490 0.0398
Sn4 0.6670 0.6724 0.3758
Sn5 0.6711 0.6718 0.1668
Sn6 0.6765 0.6664 0.6675
S1 0.0403 0.3395 0.9348
S2 0.0475 0.6391 0.4380
S3 0.2800 0.7323 0.6057
S4 0.2879 0.0088 0.1003
S5 0.3311 0.0545 0.4376
S6 0.3406 0.6363 0.9339
S7 0.3800 0.9652 0.7749
S8 0.6292 0.0483 0.9350
S9 0.6313 0.3281 0.4395
S10 0.6609 0.9779 0.2752
S11 0.6678 0.3790 0.7762
S12 0.7248 0.2870 0.1018
S13 0.7284 0.0070 0.6058
S14 0.9674 0.6749 0.7753
S15 0.9746 0.3769 0.2738
O1 0.0251 0.1776 0.9458
O2 0.0306 0.1686 0.6666
O3 0.0316 0.8159 0.4478
O4 0.0378 0.7924 0.1634
O5 0.1096 0.3850 0.9899
O6 0.1173 0.5264 0.4933
O7 0.1458 0.5161 0.7874
O8 0.1534 0.3512 0.2856
O9 0.1621 0.5490 0.3853
O10 0.1664 0.3042 0.8836
O11 0.1710 0.8062 0.6609
O12 0.1723 0.0328 0.4454
O13 0.1773 0.5227 0.0974
O14 0.1805 0.0535 0.1569
O15 0.1814 0.3079 0.6037
O16 0.1806 0.8142 0.9441
O17 0.1887 0.8525 0.2715
O18 0.1959 0.9910 0.0474
O19 0.1988 0.8326 0.5502
O20 0.2047 0.9748 0.7665
O21 0.3043 0.5448 0.8841
O22 0.3047 0.1699 0.3850
O23 0.3106 0.5461 0.6007
O24 0.3198 0.1628 0.0942
O25 0.3587 0.1448 0.7862
O26 0.3655 0.4895 0.2854
O27 0.3707 0.1291 0.4924
O28 0.3908 0.5204 0.9894
O29 0.4575 0.7243 0.6115
O30 0.4593 0.7176 0.3319
O31 0.4616 0.8409 0.1056
O32 0.4731 0.8420 0.8260
O33 0.4942 0.1454 0.2880
O34 0.4960 0.8957 0.7187
O35 0.4985 0.8752 0.4338
O36 0.5009 0.6549 0.9221
O37 0.5057 0.6244 0.2125
O38 0.5076 0.3603 0.7884
O39 0.5141 0.1171 0.9913
O40 0.5156 0.3729 0.4952
O41 0.5351 0.1723 0.8845
O42 0.5400 0.3055 0.3873
O43 0.5467 0.2975 0.0960
O44 0.5517 0.1754 0.6005
O45 0.6184 0.4957 0.7209
O46 0.6280 0.9013 0.2203
O47 0.6503 0.8685 0.9242
O48 0.6593 0.4858 0.4345
O49 0.6980 0.8504 0.6111
O50 0.7044 0.4679 0.1049
O51 0.7040 0.4696 0.8265
O52 0.7148 0.8532 0.3278
O53 0.7968 0.1897 0.1592
O54 0.8042 0.0392 0.9433
O55 0.8059 0.1626 0.4468
O56 0.8114 0.0135 0.2683
O57 0.8108 0.0256 0.6613
O58 0.8177 0.7054 0.1077
O59 0.8241 0.4862 0.6095
O60 0.8276 0.2004 0.7664
O61 0.8372 0.9728 0.5507
O62 0.8383 0.2015 0.0484
O63 0.8420 0.7103 0.8269
O64 0.8593 0.4532 0.3287
O65 0.8618 0.4987 0.9232
O66 0.8636 0.6604 0.4312
O67 0.8978 0.6292 0.7202
O68 0.9031 0.4943 0.2202
O69 0.9740 0.8445 0.0427
O70 0.9762 0.1971 0.5453
O71 0.9791 0.2052 0.2647
O72 0.9828 0.8370 0.7643
```